[1]
HoSe2 | PBE | optimized geometry

a = 4.057 Å, b = 4.057 Å, c = 8.311 Å
α = 90.00°, β = 90.00°, γ = 90.00°
Positions (direct):
Ho 0.250 0.250 0.226
Ho 0.750 0.750 0.774
Se 0.250 0.250 0.870
Se 0.250 0.750 0.500
Se 0.750 0.250 0.500
Se 0.750 0.750 0.130

Results
The mass density comes out at 7.8 Mg/m³. The formation energy is -42.72 kcal/mol of atoms.

***

[2]
ScB2C | PBE | optimized geometry

a = 6.646 Å, b = 6.646 Å, c = 6.792 Å
α = 90.00°, β = 90.00°, γ = 90.00°
Positions (direct):
Sc 0.192 0.308 0.250
Sc 0.192 0.308 0.750
Sc 0.308 0.808 0.250
Sc 0.308 0.808 0.750
Sc 0.692 0.192 0.250
Sc 0.692 0.192 0.750
Sc 0.808 0.692 0.250
Sc 0.808 0.692 0.750
B 0.034 0.847 0.000
B 0.092 0.596 0.000
B 0.096 0.592 0.500
B 0.153 0.034 0.500
B 0.347 0.534 0.500
B 0.404 0.092 0.500
B 0.408 0.096 0.000
B 0.466 0.347 0.000
B 0.534 0.653 0.000
B 0.592 0.904 0.000
B 0.596 0.908 0.500
B 0.653 0.466 0.500
B 0.847 0.966 0.500
B 0.904 0.408 0.500
B 0.908 0.404 0.000
B 0.966 0.153 0.000
C 0.040 0.821 0.500
C 0.179 0.040 0.000
C 0.321 0.540 0.000
C 0.460 0.321 0.500
C 0.540 0.679 0.500
C 0.679 0.460 0.000
C 0.821 0.960 0.000
C 0.960 0.179 0.500

Results
The mass density comes out at 3.5 Mg/m³. The formation energy is -13.27 kcal/mol of atoms.

***

[3]
SmPd | PBE | optimized geometry

a = 5.723 Å, b = 5.723 Å, c = 4.646 Å
α = 90.00°, β = 90.00°, γ = 141.17°
Positions (direct):
Sm 0.137 0.863 0.750
Sm 0.863 0.137 0.250
Pd 0.414 0.586 0.750
Pd 0.586 0.414 0.250

Results
The mass density comes out at 8.9 Mg/m³. The formation energy is -19.75 kcal/mol of atoms.

***

[4]
YMg6CdO8 | PBE | optimized geometry

a = 4.508 Å, b = 4.508 Å, c = 9.183 Å
α = 90.00°, β = 90.00°, γ = 90.00°
Positions (direct):
Y 0.000 0.000 0.000
Mg 0.000 0.500 0.264
Mg 0.000 0.500 0.736
Mg 0.500 0.000 0.264
Mg 0.500 0.000 0.736
Mg 0.500 0.500 0.000
Mg 0.500 0.500 0.500
Cd 0.000 0.000 0.500
O 0.000 0.000 0.241
O 0.000 0.000 0.759
O 0.000 0.500 0.000
O 0.000 0.500 0.500
O 0.500 0.000 0.000
O 0.500 0.000 0.500
O 0.500 0.500 0.248
O 0.500 0.500 0.752

Results
The mass density comes out at 4.2 Mg/m³. The calculation puts the relative energy among the computed polymorphs at 3.26 kJ per mole of atoms. The formation energy is -62.20 kcal/mol of atoms.

***

[5]
ZrCrCuS4 | PBE | optimized geometry

a = 7.259 Å, b = 6.679 Å, c = 11.629 Å
α = 90.00°, β = 90.00°, γ = 90.00°
Positions (direct):
Zr 0.000 0.182 0.000
Zr 0.000 0.295 0.699
Zr 0.500 0.705 0.199
Zr 0.500 0.818 0.500
Cr 0.000 0.649 0.544
Cr 0.000 0.808 0.779
Cr 0.500 0.192 0.279
Cr 0.500 0.351 0.044
Cu 0.000 0.040 0.380
Cu 0.000 0.580 0.099
Cu 0.500 0.420 0.599
Cu 0.500 0.960 0.880
S 0.000 0.357 0.466
S 0.000 0.526 0.903
S 0.000 0.908 0.126
S 0.000 0.977 0.594
S 0.211 0.058 0.842
S 0.238 0.595 0.672
S 0.262 0.405 0.172
S 0.289 0.942 0.342
S 0.500 0.023 0.094
S 0.500 0.092 0.626
S 0.500 0.474 0.403
S 0.500 0.643 0.966
S 0.711 0.942 0.342
S 0.738 0.405 0.172
S 0.762 0.595 0.672
S 0.789 0.058 0.842

Results
The mass density comes out at 3.9 Mg/m³. The calculation puts the relative energy among the computed polymorphs at 32.33 kJ per mole of atoms. The formation energy is -21.26 kcal/mol of atoms.

***

[6]
RbNbSiO5 | PBE | optimized geometry

a = 21.075 Å, b = 21.075 Å, c = 10.415 Å
α = 104.30°, β = 104.30°, γ = 28.61°
Positions (direct):
Rb 0.000 0.000 0.000
Rb 0.068 0.542 0.055
Rb 0.163 0.085 0.580
Rb 0.208 0.682 0.195
Rb 0.263 0.237 0.263
Rb 0.318 0.792 0.805
Rb 0.432 0.317 0.900
Rb 0.458 0.932 0.945
Rb 0.526 0.474 0.500
Rb 0.565 0.039 0.552
Rb 0.683 0.568 0.100
Rb 0.711 0.185 0.698
Rb 0.763 0.737 0.737
Rb 0.815 0.289 0.302
Rb 0.915 0.837 0.420
Rb 0.961 0.435 0.448
Nb 0.097 0.840 0.601
Nb 0.098 0.337 0.833
Nb 0.160 0.903 0.399
Nb 0.183 0.390 0.654
Nb 0.344 0.085 0.581
Nb 0.365 0.570 0.836
Nb 0.427 0.136 0.898
Nb 0.430 0.635 0.164
Nb 0.610 0.319 0.081
Nb 0.610 0.817 0.346
Nb 0.663 0.902 0.167
Nb 0.681 0.390 0.919
Nb 0.844 0.084 0.348
Nb 0.864 0.573 0.102
Nb 0.915 0.656 0.419
Nb 0.916 0.156 0.652
Si 0.045 0.789 0.819
Si 0.082 0.253 0.052
Si 0.211 0.955 0.181
Si 0.233 0.439 0.437
Si 0.293 0.034 0.264
Si 0.316 0.519 0.516
Si 0.445 0.221 0.218
Si 0.481 0.684 0.484
Si 0.528 0.300 0.298
Si 0.561 0.767 0.563
Si 0.700 0.472 0.702
Si 0.747 0.918 0.948
Si 0.779 0.555 0.782
Si 0.827 0.001 0.030
Si 0.966 0.707 0.736
Si 0.999 0.173 0.970
O 0.007 0.983 0.308
O 0.009 0.244 0.018
O 0.014 0.136 0.810
O 0.017 0.993 0.692
O 0.033 0.507 0.520
O 0.050 0.055 0.533
O 0.074 0.576 0.399
O 0.081 0.429 0.754
O 0.102 0.547 0.750
O 0.121 0.003 0.278
O 0.122 0.238 0.919
O 0.124 0.030 0.039
O 0.182 0.678 0.501
O 0.191 0.204 0.681
O 0.192 0.808 0.500
O 0.204 0.656 0.859
O 0.224 0.123 0.139
O 0.244 0.123 0.403
O 0.245 0.002 0.254
O 0.247 0.720 0.733
O 0.262 0.237 0.556
O 0.264 0.236 0.929
O 0.280 0.753 0.267
O 0.281 0.472 0.506
O 0.282 0.351 0.536
O 0.302 0.351 0.293
O 0.322 0.818 0.499
O 0.334 0.666 0.000
O 0.336 0.269 0.787
O 0.344 0.796 0.141
O 0.403 0.444 0.386
O 0.405 0.236 0.059
O 0.405 0.472 0.654
O 0.424 0.926 0.601
O 0.446 0.044 0.744
O 0.453 0.898 0.250
O 0.477 0.418 0.928
O 0.493 0.967 0.480
O 0.509 0.481 0.182
O 0.512 0.338 0.161
O 0.516 0.231 0.264
O 0.519 0.491 0.818
O 0.528 0.595 0.346
O 0.528 0.719 0.494
O 0.530 0.003 0.017
O 0.540 0.083 0.265
O 0.556 0.597 0.614
O 0.571 0.919 0.246
O 0.582 0.523 0.072
O 0.610 0.014 0.858
O 0.649 0.698 0.707
O 0.649 0.718 0.464
O 0.662 0.488 0.839
O 0.666 0.201 0.386
O 0.708 0.292 0.000
O 0.726 0.140 0.981
O 0.731 0.664 0.213
O 0.743 0.217 0.230
O 0.756 0.991 0.982
O 0.762 0.878 0.081
O 0.763 0.738 0.444
O 0.764 0.595 0.941
O 0.764 0.736 0.071
O 0.769 0.484 0.736
O 0.783 0.257 0.770
O 0.796 0.809 0.319
O 0.799 0.334 0.614
O 0.819 0.181 0.500
O 0.860 0.274 0.019
O 0.864 0.986 0.190
O 0.877 0.756 0.597
O 0.877 0.776 0.861
O 0.917 0.460 0.735
O 0.945 0.950 0.467
O 0.956 0.554 0.256
O 0.970 0.876 0.961
O 0.986 0.390 0.142
O 0.997 0.470 0.983
O 0.997 0.879 0.722
O 0.998 0.755 0.746

Results
The mass density comes out at 3.6 Mg/m³. The calculation puts the relative energy among the computed polymorphs at 0.93 kJ per mole of atoms. The formation energy is -69.76 kcal/mol of atoms.

***

[7]
SnO2 | PBE | optimized geometry

a = 3.640 Å, b = 3.640 Å, c = 3.640 Å
α = 60.00°, β = 60.00°, γ = 60.00°
Positions (direct):
Sn 0.000 0.000 0.000
O 0.250 0.250 0.250
O 0.750 0.750 0.750

Results
The mass density comes out at 7.3 Mg/m³. The formation energy is -42.93 kcal/mol of atoms.

***

[8]
PrHSe | PBE | optimized geometry

a = 4.063 Å, b = 4.063 Å, c = 8.026 Å
α = 90.00°, β = 90.00°, γ = 120.00°
Positions (direct):
Pr 0.333 0.667 0.250
Pr 0.667 0.333 0.750
H 0.333 0.667 0.750
H 0.667 0.333 0.250
Se 0.000 0.000 0.000
Se 0.000 0.000 0.500

Results
The mass density comes out at 6.4 Mg/m³. The formation energy is -36.39 kcal/mol of atoms.

***

[9]
SrPrEuNbO6 | PBE | optimized geometry

a = 6.113 Å, b = 6.113 Å, c = 6.113 Å
α = 60.00°, β = 60.00°, γ = 60.00°
Positions (direct):
Sr 0.000 0.000 0.000
Pr 0.750 0.750 0.750
Eu 0.500 0.500 0.500
Nb 0.250 0.250 0.250
O 0.018 0.018 0.482
O 0.018 0.482 0.018
O 0.018 0.482 0.482
O 0.482 0.018 0.018
O 0.482 0.018 0.482
O 0.482 0.482 0.018

Results
The mass density comes out at 5.9 Mg/m³. The calculation puts the relative energy among the computed polymorphs at 14.70 kJ per mole of atoms. The formation energy is -74.28 kcal/mol of atoms.

***

[10]
Er2Te3 | PBE | optimized geometry

a = 14.355 Å, b = 13.690 Å, c = 7.513 Å
α = 79.41°, β = 69.62°, γ = 30.96°
Positions (direct):
Er 0.042 0.042 0.208
Er 0.125 0.125 0.625
Er 0.208 0.208 0.042
Er 0.375 0.375 0.875
Er 0.625 0.625 0.125
Er 0.792 0.792 0.958
Er 0.875 0.875 0.375
Er 0.958 0.958 0.792
Te 0.044 0.541 0.206
Te 0.126 0.624 0.624
Te 0.206 0.710 0.044
Te 0.290 0.794 0.459
Te 0.376 0.874 0.874
Te 0.459 0.956 0.290
Te 0.541 0.044 0.710
Te 0.624 0.126 0.126
Te 0.710 0.206 0.541
Te 0.794 0.290 0.956
Te 0.874 0.376 0.376
Te 0.956 0.459 0.794

Results
The mass density comes out at 6.9 Mg/m³. The formation energy is -37.82 kcal/mol of atoms.

***

[11]
W | PBE | optimized geometry

a = 2.859 Å, b = 2.859 Å, c = 2.859 Å
α = 60.00°, β = 60.00°, γ = 60.00°
Positions (direct):
W 0.000 0.000 0.000

Results
The mass density comes out at 18.5 Mg/m³. The calculation puts the relative energy among the computed polymorphs at 45.49 kJ per mole of atoms. The formation energy is 10.87 kcal/mol of atoms.

***

[12]
Zn2Sb2O5 | PBE | optimized geometry

a = 6.747 Å, b = 12.163 Å, c = 3.709 Å
α = 90.00°, β = 90.00°, γ = 90.00°
Positions (direct):
Zn 0.173 0.187 0.000
Zn 0.327 0.687 0.000
Zn 0.673 0.313 0.000
Zn 0.827 0.813 0.000
Sb 0.231 0.895 0.500
Sb 0.269 0.395 0.500
Sb 0.731 0.605 0.500
Sb 0.769 0.105 0.500
O 0.000 0.000 0.500
O 0.121 0.845 0.000
O 0.239 0.219 0.500
O 0.261 0.719 0.500
O 0.379 0.345 0.000
O 0.500 0.500 0.500
O 0.621 0.655 0.000
O 0.739 0.281 0.500
O 0.761 0.781 0.500
O 0.879 0.155 0.000

Results
The mass density comes out at 5.0 Mg/m³. The formation energy is -34.80 kcal/mol of atoms.

***

[13]
Zn4FeS5 | PBE | optimized geometry

a = 15.864 Å, b = 15.864 Å, c = 15.864 Å
α = 13.91°, β = 13.91°, γ = 13.91°
Positions (direct):
Zn 0.000 0.000 0.000
Zn 0.200 0.200 0.200
Zn 0.400 0.400 0.400
Zn 0.600 0.600 0.600
Fe 0.800 0.800 0.800
S 0.150 0.150 0.150
S 0.350 0.350 0.350
S 0.550 0.550 0.550
S 0.750 0.750 0.750
S 0.950 0.950 0.950

Results
The mass density comes out at 4.0 Mg/m³. The formation energy is -20.94 kcal/mol of atoms.